Material: CeMg6Cr
Method: DFT, PBE
State: relaxed

Properties
SG: Amm2 (38)
Energy of formation, eV per atom: 0.2192

Lattice parameters (Å, degrees): 6.6110 6.6110 5.1752 90.00 90.00 123.25
Closest atoms and distances in Å follow each position.
Fractional coordinates of all 8 atoms:
1 Ce 0.8328 0.1672 0.5000  2 Cr 3.14, 10 Mg 3.22-3.31
2 Mg 0.3368 0.1742 0.5000  8 Mg 3.07-3.22, 2 Cr 3.24-3.37, 2 Ce 3.30-3.31
3 Mg 0.8258 0.6632 0.5000  8 Mg 3.07-3.22, 2 Cr 3.24-3.37, 2 Ce 3.30-3.31
4 Mg 0.1783 0.3460 0.0000  6 Mg 2.99-3.29, 2 Cr 3.13, 2 Ce 3.22
5 Mg 0.6540 0.8217 0.0000  6 Mg 2.99-3.29, 2 Cr 3.13, 2 Ce 3.22
6 Mg 0.6638 0.3362 0.0000  10 Mg 3.14-3.37, 2 Ce 3.25
7 Mg 0.1726 0.8274 0.0000  10 Mg 3.14-3.41, 2 Cr 3.21
8 Cr 0.3359 0.6641 0.5000  10 Mg 3.13-3.37, 2 Ce 3.14